Entry 1:
Computed, not measured: a relaxed structure of LaAu at the r2SCAN level of DFT.

Results
- energy of formation from the pure elements (meV/atom) = -917
- calculated total energy (eV per cell) = -328.66

a = 7.651 Å, b = 4.894 Å, c = 5.885 Å
α = 90.00°, β = 90.00°, γ = 90.00°
Space group Pnma (No. 62)
One atom of each set of equivalent atoms:
La1 0.188 0.250 0.147
Au1 0.040 0.250 0.651


Entry 2:
Computed, not measured: a relaxed structure of LaAu at the r2SCAN level of DFT.

Results
- energy of formation from the pure elements (meV/atom) = -920
- calculated total energy (eV per cell) = -328.68

a = 3.993 Å, b = 11.561 Å, c = 4.793 Å
α = 90.00°, β = 90.00°, γ = 90.00°
Space group Cmcm (No. 63)
One atom of each set of equivalent atoms:
La1 0.000 0.135 0.250
Au1 0.000 0.413 0.250


Entry 3:
Computed, not measured: a relaxed structure of La4Au2O9 at the r2SCAN level of DFT.

Results
- energy of formation from the pure elements (meV/atom) = -2671
- calculated total energy (eV per cell) = -1255.87

a = 12.120 Å, b = 6.331 Å, c = 12.115 Å
α = 90.00°, β = 90.00°, γ = 90.00°
Space group Pbcn (No. 60)
One atom of each set of equivalent atoms:
La1 0.011 0.243 0.089
La2 0.160 0.199 0.763
Au1 0.229 0.422 0.511
O1 0.000 0.023 0.250
O2 0.080 0.391 0.586
O3 0.117 0.056 0.947
O4 0.165 0.444 0.355
O5 0.198 0.120 0.157


Entry 4:
Computed, not measured: a relaxed structure of LaPbAu at the r2SCAN level of DFT.

Results
- energy of formation from the pure elements (meV/atom) = -781
- calculated total energy (eV per cell) = -555.83

a = 4.826 Å, b = 8.374 Å, c = 8.242 Å
α = 90.00°, β = 90.00°, γ = 90.00°
Space group Cmcm (No. 63)
One atom of each set of equivalent atoms:
La1 0.000 0.000 0.000
Pb1 0.000 0.332 0.250
Au1 0.000 0.335 0.750


Entry 5:
Computed, not measured: a relaxed structure of La3Sb4Au3 at the r2SCAN level of DFT.

Results
- energy of formation from the pure elements (meV/atom) = -1096
- calculated total energy (eV per cell) = -1419.09

a = 10.203 Å, b = 10.203 Å, c = 10.203 Å
α = 90.00°, β = 90.00°, γ = 90.00°
Space group I-43d (No. 220)
One atom of each set of equivalent atoms:
La1 0.000 0.250 0.875
Sb1 0.084 0.416 0.584
Au1 0.000 0.250 0.375


Entry 6:
Computed, not measured: a relaxed structure of LaYbAu2 at the r2SCAN level of DFT.

Results
- energy of formation from the pure elements (meV/atom) = -873
- calculated total energy (eV per cell) = -683.75

a = 7.302 Å, b = 7.302 Å, c = 7.302 Å
α = 90.00°, β = 90.00°, γ = 90.00°
Space group Fm-3m (No. 225)
One atom of each set of equivalent atoms:
La1 0.000 0.000 0.000
Yb1 0.000 0.000 0.500
Au1 0.250 0.250 0.250


Entry 7:
Computed, not measured: a relaxed structure of Li15Au4 at the r2SCAN level of DFT.

Results
- energy of formation from the pure elements (meV/atom) = -354
- calculated total energy (eV per cell) = -979.44

a = 10.701 Å, b = 10.701 Å, c = 10.701 Å
α = 90.00°, β = 90.00°, γ = 90.00°
Space group I-43d (No. 220)
One atom of each set of equivalent atoms:
Li1 0.000 0.250 0.875
Li2 0.040 0.120 0.654
Au1 0.045 0.045 0.045


Entry 8:
Computed, not measured: a relaxed structure of LiLuAu2 at the r2SCAN level of DFT.

Results
- energy of formation from the pure elements (meV/atom) = -788
- calculated total energy (eV per cell) = -579.16

a = 6.693 Å, b = 6.693 Å, c = 6.693 Å
α = 90.00°, β = 90.00°, γ = 90.00°
Space group Fm-3m (No. 225)
One atom of each set of equivalent atoms:
Li1 0.000 0.000 0.000
Lu1 0.000 0.000 0.500
Au1 0.250 0.250 0.250


Entry 9:
Computed, not measured: a relaxed structure of LiNdAu2 at the r2SCAN level of DFT.

Results
- energy of formation from the pure elements (meV/atom) = -711
- calculated total energy (eV per cell) = -543.28

a = 7.016 Å, b = 7.016 Å, c = 7.016 Å
α = 90.00°, β = 90.00°, γ = 90.00°
Space group Fm-3m (No. 225)
One atom of each set of equivalent atoms:
Li1 0.000 0.000 0.000
Nd1 0.000 0.000 0.500
Au1 0.250 0.250 0.250


Entry 10:
Computed, not measured: a relaxed structure of Li2PbAu at the r2SCAN level of DFT.

Results
- energy of formation from the pure elements (meV/atom) = -459
- calculated total energy (eV per cell) = -453.93

a = 6.651 Å, b = 6.651 Å, c = 6.651 Å
α = 90.00°, β = 90.00°, γ = 90.00°
Space group F-43m (No. 216)
One atom of each set of equivalent atoms:
Li1 0.000 0.000 0.000
Li2 0.250 0.250 0.250
Pb1 0.250 0.250 0.750
Au1 0.000 0.000 0.500


Entry 11:
Computed, not measured: a relaxed structure of LiPdAu2 at the r2SCAN level of DFT.

Results
- energy of formation from the pure elements (meV/atom) = -355
- calculated total energy (eV per cell) = -511.74

a = 6.332 Å, b = 6.332 Å, c = 6.332 Å
α = 90.00°, β = 90.00°, γ = 90.00°
Space group Fm-3m (No. 225)
One atom of each set of equivalent atoms:
Li1 0.000 0.000 0.000
Pd1 0.000 0.000 0.500
Au1 0.250 0.250 0.250


Entry 12:
Computed, not measured: a relaxed structure of LiPrAu2 at the r2SCAN level of DFT.

Results
- energy of formation from the pure elements (meV/atom) = -693
- calculated total energy (eV per cell) = -542.93

a = 7.058 Å, b = 7.058 Å, c = 7.058 Å
α = 90.00°, β = 90.00°, γ = 90.00°
Space group Fm-3m (No. 225)
One atom of each set of equivalent atoms:
Li1 0.000 0.000 0.000
Pr1 0.000 0.000 0.500
Au1 0.250 0.250 0.250


Entry 13:
Computed, not measured: a relaxed structure of LiSc2Au at the r2SCAN level of DFT.

Results
- energy of formation from the pure elements (meV/atom) = -473
- calculated total energy (eV per cell) = -310.65

a = 6.742 Å, b = 6.742 Å, c = 6.742 Å
α = 90.00°, β = 90.00°, γ = 90.00°
Space group Fm-3m (No. 225)
One atom of each set of equivalent atoms:
Li1 0.000 0.000 0.000
Sc1 0.250 0.250 0.250
Au1 0.000 0.000 0.500


Entry 14:
Computed, not measured: a relaxed structure of LiSn4Au3 at the r2SCAN level of DFT.

Results
- energy of formation from the pure elements (meV/atom) = -263
- calculated total energy (eV per cell) = -510.46

a = 4.5284 Å, b = 4.5284 Å, c = 20.7053 Å
α = 90.00°, β = 90.00°, γ = 120.00°
Space group P6_3mc (No. 186)
One atom of each set of equivalent atoms:
Li1 0.3333 0.6667 0.0000
Sn1 0.0000 0.0000 0.0828
Sn2 0.0000 0.0000 0.3176
Sn3 0.3333 0.6667 0.4135
Sn4 0.3333 0.6667 0.6941
Au1 0.0000 0.0000 0.4523
Au2 0.3333 0.6667 0.1327
Au3 0.3333 0.6667 0.2724


Entry 15:
Computed, not measured: a relaxed structure of LiSnAu2 at the r2SCAN level of DFT.

Results
- energy of formation from the pure elements (meV/atom) = -371
- calculated total energy (eV per cell) = -519.15

a = 6.614 Å, b = 6.614 Å, c = 6.614 Å
α = 90.00°, β = 90.00°, γ = 90.00°
Space group Fm-3m (No. 225)
One atom of each set of equivalent atoms:
Li1 0.000 0.000 0.000
Sn1 0.000 0.000 0.500
Au1 0.250 0.250 0.250


Entry 16:
Computed, not measured: a relaxed structure of LiYbAu2 at the r2SCAN level of DFT.

Results
- energy of formation from the pure elements (meV/atom) = -793
- calculated total energy (eV per cell) = -573.03

a = 6.718 Å, b = 6.718 Å, c = 6.718 Å
α = 90.00°, β = 90.00°, γ = 90.00°
Space group Fm-3m (No. 225)
One atom of each set of equivalent atoms:
Li1 0.000 0.000 0.000
Yb1 0.000 0.000 0.500
Au1 0.250 0.250 0.250


Entry 17:
Computed, not measured: a relaxed structure of LuAu2 at the r2SCAN level of DFT.

Results
- energy of formation from the pure elements (meV/atom) = -975
- calculated total energy (eV per cell) = -284.35

a = 3.645 Å, b = 3.645 Å, c = 8.897 Å
α = 90.00°, β = 90.00°, γ = 90.00°
Space group I4/mmm (No. 139)
One atom of each set of equivalent atoms:
Lu1 0.000 0.000 0.000
Au1 0.000 0.000 0.336


Entry 18:
Computed, not measured: a relaxed structure of LuAu4 at the r2SCAN level of DFT.

Results
- energy of formation from the pure elements (meV/atom) = -657
- calculated total energy (eV per cell) = -487.41

a = 6.686 Å, b = 6.686 Å, c = 4.133 Å
α = 90.00°, β = 90.00°, γ = 90.00°
Space group I4/m (No. 87)
One atom of each set of equivalent atoms:
Lu1 0.000 0.000 0.000
Au1 0.101 0.300 0.500


Entry 19:
Computed, not measured: a relaxed structure of LuAu3 at the r2SCAN level of DFT.

Results
- energy of formation from the pure elements (meV/atom) = -788
- calculated total energy (eV per cell) = -385.97

a = 4.932 Å, b = 6.035 Å, c = 5.084 Å
α = 90.00°, β = 90.00°, γ = 90.00°
Space group Pmmn (No. 59, origin choice 2)
One atom of each set of equivalent atoms:
Lu1 0.250 0.250 0.155
Au1 0.250 0.504 0.662
Au2 0.250 0.750 0.163


Entry 20:
Computed, not measured: a relaxed structure of Lu2Au at the r2SCAN level of DFT.

Results
- energy of formation from the pure elements (meV/atom) = -777
- calculated total energy (eV per cell) = -516.31

a = 6.926 Å, b = 4.810 Å, c = 8.668 Å
α = 90.00°, β = 90.00°, γ = 90.00°
Space group Pnma (No. 62)
One atom of each set of equivalent atoms:
Lu1 0.015 0.250 0.177
Lu2 0.147 0.250 0.579
Au1 0.243 0.250 0.902


Entry 21:
Computed, not measured: a relaxed structure of LuAu at the r2SCAN level of DFT.

Results
- energy of formation from the pure elements (meV/atom) = -987
- calculated total energy (eV per cell) = -90.64

a = 3.497 Å, b = 3.497 Å, c = 3.497 Å
α = 90.00°, β = 90.00°, γ = 90.00°
Space group Pm-3m (No. 221)
One atom of each set of equivalent atoms:
Lu1 0.000 0.000 0.000
Au1 0.500 0.500 0.500


Entry 22:
Computed, not measured: a relaxed structure of Lu2PdAu at the r2SCAN level of DFT.

Results
- energy of formation from the pure elements (meV/atom) = -978
- calculated total energy (eV per cell) = -614.46

a = 6.904 Å, b = 6.904 Å, c = 6.904 Å
α = 90.00°, β = 90.00°, γ = 90.00°
Space group Fm-3m (No. 225)
One atom of each set of equivalent atoms:
Lu1 0.250 0.250 0.250
Pd1 0.000 0.000 0.000
Au1 0.000 0.000 0.500